A relaxed K3Gd3P4S16 crystal. Source: the Materials Project database, functional PBE.

Unit cell a=10.032 b=10.032 c=14.747 alpha=89.23 beta=89.23 gamma=72.01
Fractional coordinates of all 52 atoms:
K1 0.028 0.388 0.163
K2 0.612 0.972 0.337
K3 0.388 0.028 0.663
K4 0.000 0.000 0.000
K5 0.972 0.612 0.837
K6 0.000 0.000 0.500
Gd1 0.254 0.486 0.512
Gd2 0.746 0.514 0.488
Gd3 0.486 0.254 0.012
Gd4 0.249 0.751 0.250
Gd5 0.751 0.249 0.750
Gd6 0.514 0.746 0.988
P1 0.237 0.601 0.023
P2 0.763 0.399 0.977
P3 0.399 0.763 0.477
P4 0.961 0.668 0.361
P5 0.668 0.961 0.861
P6 0.601 0.237 0.523
P7 0.039 0.332 0.639
P8 0.332 0.039 0.139
S1 0.270 0.741 0.581
S2 0.322 0.053 0.000
S3 0.843 0.472 0.671
S4 0.053 0.322 0.500
S5 0.730 0.259 0.419
S6 0.144 0.039 0.195
S7 0.528 0.157 0.829
S8 0.297 0.924 0.393
S9 0.961 0.856 0.305
S10 0.157 0.528 0.329
S11 0.402 0.194 0.187
S12 0.416 0.545 0.104
S13 0.455 0.584 0.396
S14 0.856 0.961 0.805
S15 0.259 0.730 0.919
S16 0.703 0.076 0.607
S17 0.947 0.678 0.500
S18 0.678 0.947 0.000
S19 0.924 0.297 0.893
S20 0.806 0.598 0.313
S21 0.212 0.421 0.974
S22 0.579 0.788 0.526
S23 0.076 0.703 0.107
S24 0.421 0.212 0.474
S25 0.039 0.144 0.695
S26 0.598 0.806 0.813
S27 0.584 0.455 0.896
S28 0.545 0.416 0.604
S29 0.472 0.843 0.171
S30 0.741 0.270 0.081
S31 0.788 0.579 0.026
S32 0.194 0.402 0.687

Formation enthalpy at 0 K: -1.392 eV/atom